This record from Materials Project describes a relaxed LiSn5Rh3 crystal. The functional is GGA-PBE.

## Properties
- Energy relative to the elements: -4.3 eV per formula unit
- Space group: No. 57

abc: 5.469 9.911 12.964
angles: 90.00 90.00 90.00
Element x y z (fractional)
Li (0.098, 0.109, 0.250)
Li (0.098, 0.391, 0.750)
Li (0.902, 0.609, 0.250)
Li (0.902, 0.891, 0.750)
Sn (0.126, 0.674, 0.613)
Sn (0.126, 0.674, 0.887)
Sn (0.126, 0.826, 0.113)
Sn (0.126, 0.826, 0.387)
Sn (0.343, 0.076, 0.750)
Sn (0.343, 0.424, 0.250)
Sn (0.366, 0.127, 0.063)
Sn (0.366, 0.127, 0.437)
Sn (0.366, 0.373, 0.563)
Sn (0.366, 0.373, 0.937)
Sn (0.634, 0.627, 0.063)
Sn (0.634, 0.627, 0.437)
Sn (0.634, 0.873, 0.563)
Sn (0.634, 0.873, 0.937)
Sn (0.657, 0.576, 0.750)
Sn (0.657, 0.924, 0.250)
Sn (0.874, 0.174, 0.613)
Sn (0.874, 0.174, 0.887)
Sn (0.874, 0.326, 0.113)
Sn (0.874, 0.326, 0.387)
Rh (0.147, 0.552, 0.078)
Rh (0.147, 0.552, 0.422)
Rh (0.147, 0.948, 0.578)
Rh (0.147, 0.948, 0.922)
Rh (0.405, 0.695, 0.250)
Rh (0.405, 0.805, 0.750)
Rh (0.595, 0.195, 0.250)
Rh (0.595, 0.305, 0.750)
Rh (0.853, 0.052, 0.078)
Rh (0.853, 0.052, 0.422)
Rh (0.853, 0.448, 0.578)
Rh (0.853, 0.448, 0.922)

This record from Materials Project describes a relaxed LuAl2 crystal. The functional is GGA-PBE.

## Properties
- Energy relative to the elements: -1.4 eV per formula unit
- Space group: No. 227

abc: 5.489 5.489 5.489
angles: 60.00 60.00 60.00
Element x y z (fractional)
Lu (0.125, 0.125, 0.125)
Lu (0.875, 0.875, 0.875)
Al (0.000, 0.500, 0.500)
Al (0.500, 0.000, 0.500)
Al (0.500, 0.500, 0.000)
Al (0.500, 0.500, 0.500)

This record from Materials Project describes a relaxed Nb6CdS8 crystal. The functional is GGA-PBE.

## Properties
- Energy relative to the elements: -19.0 eV per formula unit
- Space group: No. 147
- Spin magnetization: 0.00 μB per formula unit

abc: 9.711 9.711 3.380
angles: 90.00 90.00 120.00
Element x y z (fractional)
Nb (0.114, 0.627, 0.250)
Nb (0.373, 0.486, 0.250)
Nb (0.486, 0.114, 0.750)
Nb (0.514, 0.886, 0.250)
Nb (0.627, 0.514, 0.750)
Nb (0.886, 0.373, 0.750)
Cd (0.000, 0.000, 0.500)
S (0.057, 0.344, 0.250)
S (0.287, 0.943, 0.250)
S (0.333, 0.667, 0.750)
S (0.344, 0.287, 0.750)
S (0.656, 0.713, 0.250)
S (0.667, 0.333, 0.250)
S (0.713, 0.057, 0.750)
S (0.943, 0.656, 0.750)